[1]
A plane-wave DFT calculation with PBE with a Hubbard U was carried out for a relaxed structure of MgCo5SnO12.

## Properties
Offset from the most stable computed form in meV per atom: 9

Cell lengths 5.168, 5.062, 10.054 Å; angles 93.93, 97.57, 59.34 degrees
Fractional coordinates of all 19 atoms:
O: 0.285 0.636 0.889
Mg: 0.224 0.351 0.743
O: 0.813 0.014 0.411
O: 0.880 0.670 0.595
O: 0.364 0.006 0.100
O: 0.650 0.370 0.097
Co: 0.176 0.680 0.498
O: 0.980 0.350 0.897
O: 0.199 0.032 0.595
O: 0.183 0.349 0.402
Co: 0.506 0.020 0.498
Co: 0.320 0.342 0.012
O: 0.477 0.686 0.411
O: 0.591 0.024 0.897
O: 0.495 0.349 0.605
Co: 0.646 0.680 0.997
Sn: 0.985 0.005 0.001
Co: 0.841 0.350 0.492
O: 0.029 0.649 0.105

[2]
A plane-wave DFT calculation with PBE with a Hubbard U was carried out for a relaxed structure of Rb2Ni2S3O12.

Cell lengths 10.099, 10.099, 10.099 Å; angles 90.00, 90.00, 90.00 degrees
Fractional coordinates of all 76 atoms:
O: 0.247 0.598 0.658
Ni: 0.403 0.097 0.903
O: 0.000 0.059 0.735
O: 0.197 0.726 0.458
O: 0.441 0.265 0.500
S: 0.019 0.216 0.376
O: 0.542 0.697 0.774
S: 0.481 0.784 0.876
O: 0.735 0.000 0.059
O: 0.753 0.098 0.842
S: 0.216 0.376 0.019
Ni: 0.097 0.903 0.403
O: 0.010 0.075 0.330
O: 0.726 0.458 0.197
Rb: 0.317 0.683 0.183
O: 0.402 0.158 0.253
O: 0.803 0.226 0.042
O: 0.458 0.197 0.726
S: 0.124 0.981 0.716
O: 0.958 0.303 0.274
O: 0.830 0.490 0.925
O: 0.559 0.765 0.000
O: 0.842 0.753 0.098
O: 0.500 0.941 0.235
O: 0.303 0.274 0.958
Ni: 0.665 0.835 0.165
O: 0.941 0.235 0.500
S: 0.624 0.519 0.284
O: 0.765 0.000 0.559
O: 0.170 0.990 0.575
O: 0.059 0.735 0.000
O: 0.098 0.842 0.753
Ni: 0.835 0.165 0.665
O: 0.500 0.441 0.265
S: 0.519 0.284 0.624
O: 0.425 0.670 0.510
O: 0.330 0.010 0.075
Ni: 0.903 0.403 0.097
S: 0.376 0.019 0.216
S: 0.716 0.124 0.981
Rb: 0.548 0.452 0.952
O: 0.490 0.925 0.830
O: 0.697 0.774 0.542
O: 0.990 0.575 0.170
Ni: 0.597 0.597 0.597
S: 0.784 0.876 0.481
O: 0.747 0.902 0.342
S: 0.284 0.624 0.519
Rb: 0.183 0.317 0.683
Rb: 0.683 0.183 0.317
O: 0.670 0.510 0.425
S: 0.876 0.481 0.784
O: 0.226 0.042 0.803
O: 0.510 0.425 0.670
O: 0.658 0.247 0.598
O: 0.000 0.559 0.765
O: 0.075 0.330 0.010
O: 0.158 0.253 0.402
O: 0.902 0.342 0.747
Rb: 0.952 0.548 0.452
Ni: 0.165 0.665 0.835
Rb: 0.817 0.817 0.817
Ni: 0.335 0.335 0.335
O: 0.265 0.500 0.441
O: 0.598 0.658 0.247
O: 0.042 0.803 0.226
O: 0.575 0.170 0.990
O: 0.925 0.830 0.490
S: 0.981 0.716 0.124
Rb: 0.452 0.952 0.548
O: 0.342 0.747 0.902
O: 0.774 0.542 0.697
O: 0.253 0.402 0.158
Rb: 0.048 0.048 0.048
O: 0.274 0.958 0.303
O: 0.235 0.500 0.941

[3]
A plane-wave DFT calculation with PBE with a Hubbard U was carried out for a relaxed structure of KCoMo3As3O18.

Cell lengths 15.203, 15.203, 15.203 Å; angles 90.00, 90.00, 90.00 degrees
Fractional coordinates of all 208 atoms:
As: 0.511 0.345 0.831
O: 0.578 0.055 0.067
As: 0.331 0.989 0.655
O: 0.760 0.319 0.424
As: 0.989 0.655 0.331
O: 0.765 0.914 0.176
O: 0.586 0.824 0.265
O: 0.176 0.765 0.914
O: 0.913 0.045 0.918
O: 0.676 0.735 0.086
O: 0.260 0.319 0.076
O: 0.593 0.419 0.785
O: 0.260 0.181 0.576
Mo: 0.660 0.659 0.003
O: 0.443 0.209 0.554
As: 0.831 0.989 0.845
O: 0.414 0.324 0.235
O: 0.735 0.086 0.676
Mo: 0.159 0.497 0.340
K: 0.752 0.752 0.752
O: 0.087 0.545 0.582
O: 0.291 0.054 0.443
Co: 0.500 0.000 0.500
O: 0.681 0.924 0.740
O: 0.545 0.918 0.587
O: 0.824 0.265 0.586
Mo: 0.160 0.841 0.997
O: 0.567 0.922 0.945
As: 0.655 0.331 0.989
Co: 0.000 0.500 0.500
Mo: 0.841 0.997 0.160
O: 0.407 0.581 0.215
Co: 0.000 0.500 0.000
O: 0.907 0.581 0.285
O: 0.054 0.443 0.291
O: 0.424 0.740 0.819
O: 0.285 0.907 0.581
Mo: 0.003 0.840 0.159
O: 0.945 0.567 0.922
O: 0.576 0.240 0.681
O: 0.407 0.919 0.715
O: 0.567 0.578 0.445
O: 0.215 0.407 0.581
O: 0.057 0.791 0.054
O: 0.413 0.045 0.582
O: 0.078 0.445 0.933
O: 0.760 0.181 0.924
O: 0.709 0.946 0.557
O: 0.265 0.914 0.324
O: 0.557 0.709 0.946
O: 0.455 0.418 0.913
O: 0.740 0.681 0.924
Mo: 0.497 0.340 0.159
Mo: 0.503 0.840 0.341
O: 0.791 0.054 0.057
O: 0.055 0.067 0.578
O: 0.765 0.586 0.676
O: 0.422 0.555 0.433
O: 0.209 0.554 0.443
As: 0.845 0.669 0.489
O: 0.581 0.215 0.407
O: 0.735 0.414 0.176
O: 0.955 0.418 0.587
O: 0.933 0.078 0.445
O: 0.555 0.067 0.922
O: 0.709 0.554 0.057
K: 0.748 0.252 0.752
As: 0.489 0.845 0.669
O: 0.082 0.413 0.455
O: 0.235 0.086 0.824
O: 0.587 0.545 0.918
O: 0.582 0.087 0.545
O: 0.933 0.422 0.945
O: 0.914 0.324 0.265
O: 0.919 0.785 0.907
Mo: 0.341 0.997 0.340
As: 0.345 0.669 0.011
K: 0.248 0.252 0.748
O: 0.285 0.593 0.081
O: 0.819 0.424 0.740
O: 0.086 0.824 0.235
O: 0.554 0.057 0.709
O: 0.918 0.913 0.045
Co: 0.000 0.000 0.500
O: 0.791 0.446 0.557
O: 0.418 0.587 0.955
O: 0.913 0.455 0.418
Mo: 0.003 0.660 0.659
O: 0.265 0.586 0.824
K: 0.252 0.752 0.748
Co: 0.500 0.500 0.000
O: 0.681 0.576 0.240
O: 0.918 0.587 0.545
O: 0.924 0.740 0.681
O: 0.740 0.819 0.424
As: 0.511 0.155 0.331
O: 0.919 0.715 0.407
O: 0.819 0.076 0.240
Mo: 0.997 0.160 0.841
Mo: 0.659 0.003 0.660
O: 0.587 0.955 0.418
O: 0.422 0.945 0.933
As: 0.489 0.655 0.169
Mo: 0.997 0.340 0.341
O: 0.433 0.078 0.055
O: 0.418 0.913 0.455
As: 0.989 0.845 0.831
O: 0.586 0.676 0.765
O: 0.715 0.407 0.919
Mo: 0.840 0.159 0.003
O: 0.067 0.578 0.055
Mo: 0.660 0.841 0.503
As: 0.011 0.155 0.169
O: 0.443 0.291 0.054
O: 0.945 0.933 0.422
O: 0.093 0.081 0.215
O: 0.057 0.709 0.554
O: 0.240 0.819 0.076
O: 0.215 0.093 0.081
As: 0.011 0.345 0.669
O: 0.045 0.918 0.913
K: 0.248 0.248 0.248
O: 0.943 0.209 0.946
O: 0.555 0.433 0.422
As: 0.155 0.169 0.011
O: 0.576 0.260 0.181
O: 0.087 0.955 0.082
O: 0.545 0.582 0.087
O: 0.593 0.081 0.285
O: 0.076 0.260 0.319
As: 0.169 0.011 0.155
K: 0.252 0.748 0.248
O: 0.955 0.082 0.087
O: 0.324 0.235 0.414
O: 0.235 0.414 0.324
Mo: 0.340 0.159 0.497
Mo: 0.160 0.659 0.497
Co: 0.500 0.500 0.500
O: 0.943 0.291 0.446
Mo: 0.503 0.660 0.841
O: 0.209 0.946 0.943
O: 0.045 0.582 0.413
O: 0.424 0.760 0.319
O: 0.324 0.265 0.914
O: 0.240 0.681 0.576
O: 0.924 0.760 0.181
Co: 0.500 0.000 0.000
O: 0.907 0.919 0.785
O: 0.433 0.422 0.555
O: 0.445 0.567 0.578
O: 0.181 0.576 0.260
O: 0.446 0.943 0.291
Mo: 0.340 0.341 0.997
O: 0.557 0.791 0.446
Mo: 0.840 0.341 0.503
Mo: 0.341 0.503 0.840
O: 0.319 0.076 0.260
O: 0.067 0.922 0.555
O: 0.785 0.907 0.919
O: 0.181 0.924 0.760
As: 0.345 0.831 0.511
O: 0.946 0.943 0.209
O: 0.922 0.555 0.067
Co: 0.000 0.000 0.000
Mo: 0.841 0.503 0.660
O: 0.582 0.413 0.045
O: 0.081 0.285 0.593
O: 0.081 0.215 0.093
O: 0.054 0.057 0.791
O: 0.078 0.055 0.433
As: 0.831 0.511 0.345
O: 0.291 0.446 0.943
O: 0.676 0.765 0.586
O: 0.413 0.455 0.082
As: 0.669 0.489 0.845
O: 0.419 0.715 0.093
O: 0.419 0.785 0.593
O: 0.554 0.443 0.209
O: 0.086 0.676 0.735
O: 0.914 0.176 0.765
O: 0.414 0.176 0.735
O: 0.824 0.235 0.086
O: 0.445 0.933 0.078
O: 0.455 0.082 0.413
O: 0.922 0.945 0.567
K: 0.752 0.748 0.252
O: 0.946 0.557 0.709
Mo: 0.659 0.497 0.160
O: 0.715 0.093 0.419
Mo: 0.497 0.160 0.659
O: 0.076 0.240 0.819
O: 0.176 0.735 0.414
As: 0.655 0.169 0.489
As: 0.331 0.511 0.155
O: 0.581 0.285 0.907
O: 0.082 0.087 0.955
As: 0.155 0.331 0.511
As: 0.845 0.831 0.989
O: 0.319 0.424 0.760
O: 0.093 0.419 0.715
O: 0.785 0.593 0.419
O: 0.578 0.445 0.567
As: 0.169 0.489 0.655
O: 0.055 0.433 0.078
Mo: 0.159 0.003 0.840
K: 0.748 0.248 0.252
As: 0.669 0.011 0.345
O: 0.446 0.557 0.791

[4]
A plane-wave DFT calculation with PBE with a Hubbard U was carried out for a relaxed structure of Cd2Ni2C8N12O.

Cell lengths 9.733, 9.733, 9.733 Å; angles 134.75, 116.82, 81.07 degrees
Fractional coordinates of all 25 atoms:
C: 0.448 0.087 0.712
N: 0.826 0.640 0.756
N: 0.826 0.070 0.186
C: 0.448 0.736 0.361
C: 0.626 0.264 0.712
N: 0.031 0.777 0.254
Cd: 0.750 0.750 0.000
C: 0.875 0.587 0.639
O: 0.293 0.500 0.793
Cd: 0.250 0.250 0.000
C: 0.052 0.413 0.288
Ni: 0.960 0.500 0.460
C: 0.626 0.913 0.361
N: 0.115 0.930 0.756
N: 0.384 0.140 0.814
N: 0.023 0.278 0.746
N: 0.674 0.430 0.814
N: 0.115 0.360 0.186
N: 0.468 0.722 0.746
N: 0.384 0.570 0.244
N: 0.674 0.860 0.244
C: 0.875 0.236 0.288
Ni: 0.541 0.000 0.541
C: 0.052 0.764 0.639
N: 0.477 0.223 0.254

[5]
A plane-wave DFT calculation with PBE with a Hubbard U was carried out for a relaxed structure of Cs5BiMo4O16.

## Properties
Offset from the most stable computed form in meV per atom: 0

Cell lengths 8.514, 10.706, 13.760 Å; angles 83.81, 71.87, 69.86 degrees
Fractional coordinates of all 52 atoms:
Mo: 0.206 0.642 0.143
Cs: 0.439 0.247 0.126
Mo: 0.796 0.350 0.856
O: 0.790 0.593 0.645
O: 0.673 0.241 0.279
O: 0.956 0.740 0.720
Cs: 0.196 0.947 0.378
O: 0.058 0.734 0.264
O: 0.576 0.899 0.642
Bi: 0.809 0.748 0.388
Cs: 0.565 0.747 0.875
O: 0.241 0.253 0.963
O: 0.325 0.232 0.736
O: 0.763 0.740 0.039
O: 0.204 0.751 0.036
O: 0.332 0.755 0.722
O: 0.578 0.071 0.848
Cs: 0.807 0.048 0.626
O: 0.016 0.721 0.499
O: 0.424 0.919 0.155
Mo: 0.652 0.850 0.145
O: 0.169 0.478 0.615
O: 0.578 0.420 0.846
Mo: 0.351 0.142 0.857
O: 0.992 0.274 0.501
Bi: 0.197 0.246 0.613
O: 0.436 0.091 0.357
Cs: 0.436 0.547 0.374
Cs: 0.574 0.447 0.624
O: 0.225 0.016 0.615
O: 0.515 0.221 0.501
O: 0.222 0.399 0.354
Cs: 0.949 0.942 0.882
O: 0.786 0.980 0.384
Mo: 0.404 0.860 0.622
O: 0.489 0.770 0.501
O: 0.799 0.241 0.963
O: 0.679 0.761 0.266
Cs: 0.173 0.551 0.880
O: 0.051 0.255 0.280
O: 0.742 0.981 0.120
Mo: 0.604 0.134 0.379
Cs: 0.054 0.049 0.121
Cs: 0.831 0.440 0.117
O: 0.137 0.512 0.119
O: 0.945 0.260 0.735
O: 0.842 0.518 0.385
O: 0.423 0.570 0.152
Mo: 0.027 0.361 0.379
O: 0.259 0.013 0.883
Mo: 0.982 0.634 0.621
O: 0.861 0.481 0.881

It is found that the formation energy from the elements values, taken in the order of the records, are -1351, -1925, -1506, 1305, -2133 meV/atom.